Arrangement w

# Li3Co2O5 (PBE with a Hubbard U, relaxed)
data_Li3Co2O5
_chemical_formula_sum 'Li12 Co8 O20'
_symmetry_space_group_name_H-M 'C 1 2/m 1'
_symmetry_Int_Tables_number 12
_symmetry_space_group_name_Hall '-C 2y'
_cell_length_a 12.582
_cell_length_b 2.920
_cell_length_c 9.758
_cell_angle_alpha 90.00
_cell_angle_beta 100.19
_cell_angle_gamma 90.00
loop_
_atom_site_label
_atom_site_fract_x
_atom_site_fract_y
_atom_site_fract_z
Li1 0.000 0.000 0.000
Li2 0.000 0.500 0.500
Li3 0.096 0.000 0.300
Li4 0.198 0.500 0.096
Co1 0.094 0.500 0.807
Co2 0.199 0.000 0.600
O1 0.037 0.500 0.156
O2 0.057 0.000 0.661
O3 0.146 0.000 0.937
O4 0.156 0.500 0.457
O5 0.237 0.500 0.746
# size of the total moment	1.0	μB per formula unit

=====

Arrangement x

# Li3Co2O5 (PBE with a Hubbard U, relaxed)
data_Li3Co2O5
_chemical_formula_sum 'Li6 Co4 O10'
_symmetry_space_group_name_H-M 'P -1'
_symmetry_Int_Tables_number 2
_symmetry_space_group_name_Hall '-P 1'
_cell_length_a 2.937
_cell_length_b 5.930
_cell_length_c 10.422
_cell_angle_alpha 97.16
_cell_angle_beta 97.05
_cell_angle_gamma 93.13
loop_
_atom_site_label
_atom_site_fract_x
_atom_site_fract_y
_atom_site_fract_z
Li1 0.000 0.000 0.000
Li2 0.000 0.500 0.000
Li3 0.197 0.098 0.396
Li4 0.404 0.708 0.807
Co1 0.193 0.597 0.396
Co2 0.406 0.196 0.812
O1 0.070 0.030 0.200
O2 0.125 0.568 0.201
O3 0.290 0.634 0.596
O4 0.318 0.169 0.614
O5 0.490 0.247 0.982
# size of the total moment	1.0	μB per formula unit

=====

Least stable of them? arrangement x.

=====

Arrangement w

# NaMnO2 (PBE with a Hubbard U, relaxed)
data_NaMnO2
_chemical_formula_sum 'Na4 Mn4 O8'
_symmetry_space_group_name_H-M 'P n m a'
_symmetry_Int_Tables_number 62
_symmetry_space_group_name_Hall '-P 2ac 2n'
_cell_length_a 11.500
_cell_length_b 2.900
_cell_length_c 5.697
_cell_angle_alpha 90.00
_cell_angle_beta 90.00
_cell_angle_gamma 90.00
loop_
_atom_site_label
_atom_site_fract_x
_atom_site_fract_y
_atom_site_fract_z
Na1 0.125 0.250 0.031
Mn1 0.120 0.250 0.525
O1 0.052 0.750 0.714
O2 0.191 0.750 0.346
# size of the total moment	4.0	μB per formula unit

=====

Arrangement x

This record from Materials Project describes crystalline NaMnO2 at its relaxed geometry. The functional is PBE with a Hubbard U.

Structure (CIF):
```
data_NaMnO2
_chemical_formula_sum 'Na8 Mn8 O16'
_symmetry_space_group_name_H-M 'C 1 2/c 1'
_symmetry_Int_Tables_number 15
_symmetry_space_group_name_Hall '-C 2yc'
_cell_length_a 11.739
_cell_length_b 5.831
_cell_length_c 5.745
_cell_angle_alpha 90.00
_cell_angle_beta 113.09
_cell_angle_gamma 90.00
loop_
_atom_site_label
_atom_site_fract_x
_atom_site_fract_y
_atom_site_fract_z
Na1 0.250 0.126 0.250
Mn1 0.000 0.126 0.750
Mn2 0.000 0.373 0.250
O1 0.103 0.124 0.456
O2 0.103 0.376 0.956
```

=====

Least stable of them? arrangement w.

=====

Arrangement w

# Fe5O7F3 (PBE with a Hubbard U, relaxed)
data_Fe5O7F3
_chemical_formula_sum 'Fe10 O14 F6'
_symmetry_space_group_name_H-M 'P 1 c 1'
_symmetry_Int_Tables_number 7
_symmetry_space_group_name_Hall 'P -2yc'
_cell_length_a 4.657
_cell_length_b 4.657
_cell_length_c 15.914
_cell_angle_alpha 90.00
_cell_angle_beta 106.97
_cell_angle_gamma 90.00
loop_
_atom_site_label
_atom_site_fract_x
_atom_site_fract_y
_atom_site_fract_z
Fe1 0.000 0.230 0.000
Fe2 0.140 0.270 0.194
Fe3 0.368 0.232 0.400
Fe4 0.577 0.251 0.601
Fe5 0.814 0.236 0.806
O1 0.086 0.074 0.297
O2 0.089 0.440 0.904
O3 0.271 0.448 0.099
O4 0.301 0.066 0.504
O5 0.695 0.049 0.903
O6 0.859 0.426 0.699
O7 0.878 0.052 0.097
F1 0.475 0.459 0.299
F2 0.478 0.040 0.703
F3 0.680 0.453 0.499
# size of the total moment	23.0	μB per formula unit

=====

Arrangement x

# Fe5O7F3 (PBE with a Hubbard U, relaxed)
data_Fe5O7F3
_chemical_formula_sum 'Fe10 O14 F6'
_symmetry_space_group_name_H-M 'P -1'
_symmetry_Int_Tables_number 2
_symmetry_space_group_name_Hall '-P 1'
_cell_length_a 4.661
_cell_length_b 4.671
_cell_length_c 15.196
_cell_angle_alpha 89.66
_cell_angle_beta 89.79
_cell_angle_gamma 88.40
loop_
_atom_site_label
_atom_site_fract_x
_atom_site_fract_y
_atom_site_fract_z
Fe1 0.000 0.000 0.000
Fe2 0.002 0.995 0.799
Fe3 0.018 0.969 0.405
Fe4 0.474 0.475 0.099
Fe5 0.479 0.463 0.707
Fe6 0.500 0.500 0.500
O1 0.173 0.182 0.702
O2 0.178 0.181 0.100
O3 0.200 0.200 0.498
O4 0.297 0.696 0.196
O5 0.306 0.693 0.000
O6 0.308 0.696 0.802
O7 0.329 0.685 0.399
F1 0.207 0.202 0.900
F2 0.213 0.200 0.301
F3 0.285 0.699 0.604
# size of the total moment	23.0	μB per formula unit

=====

Least stable of them? arrangement w.

=====

Arrangement w

# NiSO9 (PBE with a Hubbard U, relaxed)
data_NiSO9
_chemical_formula_sum 'Ni1 S1 O9'
_symmetry_space_group_name_H-M 'P 1'
_symmetry_Int_Tables_number 1
_symmetry_space_group_name_Hall 'P 1'
_cell_length_a 4.484
_cell_length_b 4.755
_cell_length_c 7.244
_cell_angle_alpha 105.23
_cell_angle_beta 92.72
_cell_angle_gamma 91.89
loop_
_atom_site_label
_atom_site_fract_x
_atom_site_fract_y
_atom_site_fract_z
Ni1 0.000 0.000 0.000
S1 0.520 0.443 0.953
O1 0.131 0.925 0.298
O2 0.227 0.783 0.796
O3 0.296 0.480 0.778
O4 0.327 0.340 0.085
O5 0.338 0.026 0.418
O6 0.664 0.729 0.050
O7 0.695 0.548 0.500
O8 0.727 0.225 0.859
O9 0.885 0.480 0.382
# size of the total moment	6.0	μB per formula unit

=====

Arrangement x

# NiSO9 (PBE with a Hubbard U, relaxed)
data_NiSO9
_chemical_formula_sum 'Ni1 S1 O9'
_symmetry_space_group_name_H-M 'P 1'
_symmetry_Int_Tables_number 1
_symmetry_space_group_name_Hall 'P 1'
_cell_length_a 5.479
_cell_length_b 5.921
_cell_length_c 6.170
_cell_angle_alpha 89.23
_cell_angle_beta 66.62
_cell_angle_gamma 85.61
loop_
_atom_site_label
_atom_site_fract_x
_atom_site_fract_y
_atom_site_fract_z
Ni1 0.000 0.000 0.000
S1 0.183 0.488 0.906
O1 0.119 0.287 0.805
O2 0.121 0.015 0.265
O3 0.319 0.648 0.687
O4 0.345 0.839 0.827
O5 0.562 0.332 0.158
O6 0.668 0.158 0.227
O7 0.684 0.582 0.216
O8 0.857 0.666 0.005
O9 0.948 0.988 0.472
# size of the total moment	2.0	μB per formula unit

=====

Least stable of them? arrangement x.